## YUCo10 (PBE)

Data for a relaxed YUCo10 crystal.

Calculated values
Energy of formation from the pure elements, kJ per mole of atoms: -10.3
E, eV per atom: -7.5105

abc: 3.988 4.842 8.358
angles: 90.00 90.00 90.00
Atoms (fractional coordinates):
Co 0.500 0.253 0.250
Co 0.500 0.747 0.250
Co 0.000 0.000 0.685
Co 0.500 0.500 0.000
Co 0.000 0.000 0.315
Co 0.500 0.000 0.500
U 0.000 0.000 0.000
Co 0.000 0.500 0.154
Co 0.500 0.747 0.750
Co 0.500 0.253 0.750
Y 0.000 0.500 0.500
Co 0.000 0.500 0.846

---

## V3Co (PBE)

Data for a relaxed V3Co crystal.

Calculated values
Energy of formation from the pure elements, kJ per mole of atoms: -18.9
E, eV per atom: -8.7862

abc: 4.652 4.652 4.652
angles: 90.00 90.00 90.00
Atoms (fractional coordinates):
V 0.500 0.250 0.000
V 0.750 0.000 0.500
Co 0.000 0.000 0.000
Co 0.500 0.500 0.500
V 0.500 0.750 0.000
V 0.000 0.500 0.750
V 0.250 0.000 0.500
V 0.000 0.500 0.250

---

## VCo4 (PBE)

Data for a relaxed VCo4 crystal.

Calculated values
Energy of formation from the pure elements, kJ per mole of atoms: 4.9
E, eV per atom: -7.4526
Magnetic moment, μB/f.u.: 5.48

abc: 10.382 10.382 10.382
angles: 13.93 13.93 13.93
Atoms (fractional coordinates):
Co 0.402 0.402 0.402
V 0.000 0.000 0.000
Co 0.598 0.598 0.598
Co 0.801 0.801 0.801
Co 0.199 0.199 0.199

---

## VCo (PBE)

Data for a relaxed VCo crystal.

Calculated values
Energy of formation from the pure elements, kJ per mole of atoms: -8.3
E, eV per atom: -8.1822

abc: 2.895 2.895 2.895
angles: 90.00 90.00 90.00
Atoms (fractional coordinates):
V 0.000 0.000 0.000
Co 0.500 0.500 0.500

---

## YV2Co10 (PBE)

Data for a relaxed YV2Co10 crystal.

Calculated values
Energy of formation from the pure elements, kJ per mole of atoms: -8.9
E, eV per atom: -7.4556
Magnetic moment, μB/f.u.: 11.60

abc: 4.653 6.323 6.323
angles: 97.67 111.59 68.41
Atoms (fractional coordinates):
Co 0.500 0.000 0.500
V 0.000 0.638 0.638
Y 0.000 0.000 0.000
Co 0.500 0.222 0.222
Co 0.640 0.360 0.640
Co 0.719 0.781 0.219
Co 0.000 0.500 0.000
Co 0.500 0.778 0.778
Co 0.500 0.500 0.000
V 0.000 0.362 0.362
Co 0.281 0.219 0.781
Co 0.360 0.640 0.360
Co 0.000 0.000 0.500

---

## CoW3 (PBE)

Data for a relaxed CoW3 crystal.

Calculated values
Energy of formation from the pure elements, kJ per mole of atoms: 24.8
E, eV per atom: -11.2388
Magnetic moment, μB/f.u.: 0.03

abc: 3.907 3.907 3.907
angles: 90.00 90.00 90.00
Atoms (fractional coordinates):
W 0.500 0.500 0.000
W 0.000 0.500 0.500
Co 0.000 0.000 0.000
W 0.500 0.000 0.500

---

Question: The lowest energy of formation from the pure elements belongs to which entry?
Answer: V3Co